# BaCuBi

An optimized crystal structure of BaCuBi (GGA-PBE, Materials Project).

Cell and atoms, written as extended XYZ:
```
6
Lattice="-0.883 2.254 4.104 4.240 -2.049 -0.728 3.319 8.219 -3.799" Properties=species:S:1:pos:R:3 pbc="T T T"
Ba 0.000 0.000 0.000
Cu 3.362 1.440 -0.067
Bi 5.021 5.550 -1.966
Cu 3.314 6.984 -0.356
Bi 1.654 2.874 1.544
Ba 1.659 4.110 -1.899
```

- VASP energy (eV/atom) = -3.839
- space group = P6_3/mmc (194)
- crystal system = hexagonal

# BaSrPrTiO6

An optimized crystal structure of BaSrPrTiO6 (GGA-PBE, Materials Project).

Cell and atoms, written as extended XYZ:
```
20
Lattice="-1.110 -1.171 5.806 5.935 0.081 1.151 -0.488 8.367 1.507" Properties=species:S:1:pos:R:3 pbc="T T T"
O 3.594 4.205 3.111
Pr -0.799 3.598 3.657
Ba 2.444 1.543 3.921
O 5.322 1.491 3.895
O 3.913 -0.441 5.416
Sr -1.013 0.977 6.183
Ti 2.724 4.224 1.329
O 0.745 -0.475 4.393
O 1.776 5.033 7.140
O 0.744 3.072 5.354
O 3.592 7.752 4.072
O -0.984 5.786 4.570
O 0.425 7.717 3.049
Ti -0.555 -0.586 2.903
O 2.561 2.243 1.325
Pr 2.968 0.040 0.576
O 3.430 2.938 6.289
Ba 1.893 5.733 4.544
Sr 5.351 6.299 2.282
O 0.907 4.339 2.176
```

- VASP energy (eV/atom) = -7.405
- energy with MP2020 corrections (eV/f.u.) = -78.17
- space group = P-1 (2)
- crystal system = triclinic
- E above lowest polymorph (meV per atom) = 0